# Dy6CoTe2, relaxed, DFT PBE
# volume = 26.11 Å³/atom
# energy of formation from the pure elements = -0.7549 eV/atom
data_Dy6CoTe2
_cell_length_a 8.3509
_cell_length_b 8.3509
_cell_length_c 3.8912
_cell_angle_alpha 90.00
_cell_angle_beta 90.00
_cell_angle_gamma 120.00
_symmetry_space_group_name_H-M 'P -6 2 m'
_symmetry_Int_Tables_number 189
_symmetry_space_group_name_Hall 'P -6 -2'
loop_
_atom_site_label
_atom_site_type_symbol
_atom_site_fract_x
_atom_site_fract_y
_atom_site_fract_z
Dy1 Dy 0.0000 0.2361 0.0000
Dy2 Dy 0.0000 0.5982 0.5000
Co1 Co 0.0000 0.0000 0.5000
Te1 Te 0.3333 0.6667 0.0000